Ce3Tl | GGA-PBE | relaxed

abc: 4.841 4.841 4.841
angles: 90.00 90.00 90.00
Positions (direct):
Ce1 0.000 0.000 0.500
Ce2 0.000 0.500 0.000
Ce3 0.500 0.000 0.000
Tl1 0.500 0.500 0.500

For the volume, the calculation gives 28.37 Å³ per atom. As for the space group: Pm-3m, No. 221. Its total energy is -5.175 eV per atom. The value obtained for the formation energy is -0.135 eV/atom.

***

Li2BeH4 | GGA-PBE | relaxed

abc: 4.960 6.615 12.354
angles: 81.32 86.86 89.89
Positions (direct):
Li1 0.000 0.000 0.000
Li2 0.004 0.984 0.735
Li3 0.269 0.783 0.551
Li4 0.438 0.644 0.757
Li5 0.475 0.433 0.248
Li6 0.487 0.271 0.035
Li7 0.506 0.212 0.671
Li8 0.525 0.696 0.050
Li9 0.576 0.961 0.226
Li10 0.953 0.227 0.462
Li11 0.959 0.474 0.077
Li12 0.987 0.401 0.684
Be1 0.002 0.478 0.294
Be2 0.047 0.934 0.341
Be3 0.095 0.770 0.199
Be4 0.102 0.108 0.198
Be5 0.844 0.319 0.864
Be6 0.898 0.669 0.873
H1 0.018 0.919 0.456
H2 0.075 0.222 0.812
H3 0.151 0.750 0.826
H4 0.207 0.420 0.369
H5 0.279 0.082 0.294
H6 0.298 0.475 0.937
H7 0.306 0.523 0.631
H8 0.321 0.896 0.920
H9 0.342 0.950 0.653
H10 0.391 0.963 0.956
H11 0.456 0.130 0.503
H12 0.457 0.499 0.936
H13 0.462 0.219 0.456
H14 0.479 0.696 0.414
H15 0.584 0.761 0.435
H16 0.613 0.440 0.114
H17 0.662 0.366 0.774
H18 0.712 0.795 0.806
H19 0.724 0.165 0.946
H20 0.752 0.408 0.349
H21 0.866 0.201 0.611
H22 0.872 0.095 0.288
H23 0.878 0.727 0.985
H24 0.981 0.714 0.312

For the volume, the calculation gives 9.53 Å³ per atom. Its energy above the most stable polymorph in this dataset is 1.79 eV/f.u. As for the space group: P1, No. 1. Its total energy is -3.062 eV per atom. The value obtained for the formation energy is -0.146 eV/atom.